Entry 1:
DFT (PBE-GGA) results for crystalline Mg2Ti3VS8 at its relaxed geometry.

Its total magnetic moment is 14.8 μB/cell. The calculation puts the formation energy at -1.54 eV per atom.

The structure belongs to space group R-3m (No. 166, hexagonal axes); the cell edges are 7.2976, 7.2976 and 18.0323 Å and the angles 90.00°, 90.00° and 120.00°. Symmetry generates all atoms from Mg at (0.0000, 0.0000, 0.1249), Ti at (0.0000, 0.5000, 0.0000), V at (0.0000, 0.0000, 0.5000), S at (0.0000, 0.0000, 0.2590) and S at (0.0268, 0.5134, 0.2532).

=====

Entry 2:
DFT (PBE-GGA) results for crystalline Mg2TiW3S8 at its relaxed geometry.

Its total magnetic moment is 4.3 μB/cell. The calculation puts the formation energy at -0.93 eV per atom.

The structure belongs to space group C2 (No. 5); the cell edges are 12.1517, 7.6408 and 7.1953 Å and the angles 90.00°, 124.86° and 90.00°. Symmetry generates all atoms from Mg at (0.1143, 0.0000, 0.3653), Ti at (0.0000, 0.5001, 0.5000), W at (0.0000, 0.4997, 0.0000), W at (0.2496, 0.2505, 0.0000), S at (0.0020, 0.2755, 0.7530), S at (0.0023, 0.7246, 0.7533), S at (0.2492, 0.0003, 0.7748) and S at (0.2493, 0.5002, 0.7767).

=====

Entry 3:
DFT (PBE-GGA) results for crystalline Y3Mg2TiS8 at its relaxed geometry.

Its total magnetic moment is 3.0 μB/cell. The calculation puts the formation energy at -2.00 eV per atom.

The structure belongs to space group R-3m (No. 166, hexagonal axes); the cell edges are 7.8171, 7.8171 and 18.7442 Å and the angles 90.00°, 90.00° and 120.00°. Symmetry generates all atoms from Y at (0.0000, 0.5000, 0.0000), Mg at (0.0000, 0.0000, 0.1246), Ti at (0.0000, 0.0000, 0.5000), S at (0.0000, 0.0000, 0.2543) and S at (0.0232, 0.5116, 0.2448).

=====

Entry 4:
DFT (PBE-GGA) results for crystalline Tm2MgS4 at its relaxed geometry.

The polymorph energy (0 for the lowest one) is 68 meV/atom. Its total magnetic moment is 0.0 μB/cell. The calculation puts the formation energy at -2.11 eV per atom.

The structure belongs to space group Pnma (No. 62); the cell edges are 12.4841, 3.8049 and 13.3287 Å and the angles 90.00°, 90.00° and 90.00°. Symmetry generates all atoms from Tm at (0.1173, 0.2500, 0.0735), Tm at (0.1390, 0.2500, 0.7043), Mg at (0.1118, 0.7500, 0.4516), S at (0.0094, 0.7500, 0.6169), S at (0.0267, 0.2500, 0.8827), S at (0.2254, 0.2500, 0.2458) and S at (0.2387, 0.2500, 0.5155).

=====

no.,total DFT energy (no corrections) (eV per cell)
1,-259.8
2,-184.1
3,-262.9
4,-159.6